1:
VASP calculation (GGA+U) on a geometry-optimized Sr3MgV2O7 structure.

Cell lengths 3.8814, 4.9001, 20.1503 Å; angles 90.00, 90.00, 90.00 degrees
Space group Immm (No. 71)
Symmetry-distinct sites (fractional):
Sr 0.0000 0.0000 0.0000
Sr 0.0000 0.0000 0.1802
Mg 0.0000 0.5000 0.0000
V 0.0000 0.0000 0.3909
O 0.0000 0.0000 0.2985
O 0.0000 0.0000 0.5000
O 0.0000 0.5000 0.0936
O 0.0000 0.5000 0.4053

2:
VASP calculation (GGA+U) on a geometry-optimized Sr3MgV2O7 structure.

Cell lengths 5.5251, 5.5489, 12.0191 Å; angles 90.00, 90.21, 90.00 degrees
Space group Cm (No. 8)
Symmetry-distinct sites (fractional):
Sr 0.0000 0.0000 0.0000
Sr 0.0019 0.0000 0.2921
Sr 0.0068 0.5000 0.5146
Mg 0.0048 0.5000 0.7966
V 0.0008 0.5000 0.1450
V 0.0061 0.0000 0.6817
O 0.0022 0.5000 0.3262
O 0.0015 0.5000 0.9570
O 0.0074 0.0000 0.5219
O 0.2501 0.2497 0.1434
O 0.2557 0.2507 0.7258

Most stable: 2

1:
VASP calculation (GGA+U) on a geometry-optimized FePO4F structure.

Cell lengths 5.3593, 5.3636, 7.4287 Å; angles 107.40, 109.84, 96.18 degrees
Space group P-1 (No. 2)
Symmetry-distinct sites (fractional):
Fe 0.0000 0.0000 0.0000
Fe 0.5000 0.5000 0.5000
P 0.1102 0.4310 0.7619
O 0.1523 0.2646 0.9019
O 0.1878 0.6568 0.3955
O 0.1895 0.7343 0.8900
O 0.3073 0.3679 0.6530
F 0.3191 0.1587 0.2641

2:
VASP calculation (GGA+U) on a geometry-optimized FePO4F structure.

Cell lengths 12.8040, 10.8519, 6.3310 Å; angles 90.00, 90.00, 90.00 degrees
Space group Pnna (No. 52)
Symmetry-distinct sites (fractional):
Fe 0.0000 0.0000 0.0000
Fe 0.1378 0.2500 0.2500
P 0.0639 0.2500 0.7500
P 0.2500 0.0000 0.0835
O 0.0074 0.6370 0.2921
O 0.1367 0.2243 0.5599
O 0.1534 0.5146 0.5565
O 0.2425 0.1154 0.2286
F 0.0258 0.1238 0.2225

Most stable: 1

1:
VASP calculation (GGA+U) on a geometry-optimized MgTiV2CrO10 structure.

Cell lengths 6.5666, 6.5666, 5.4992 Å; angles 90.00, 90.00, 90.00 degrees
Space group P-4m2 (No. 115)
Symmetry-distinct sites (fractional):
Mg 0.0000 0.0000 0.0000
Ti 0.0000 0.0000 0.5000
V 0.0000 0.5000 0.3810
Cr 0.5000 0.5000 0.5000
O 0.0000 0.2067 0.2736
O 0.0000 0.5000 0.6778
O 0.2973 0.5000 0.3173

2:
VASP calculation (GGA+U) on a geometry-optimized MgTiV2CrO10 structure.

Cell lengths 6.5059, 6.5059, 5.4819 Å; angles 90.00, 90.00, 90.00 degrees
Space group P-4m2 (No. 115)
Symmetry-distinct sites (fractional):
Mg 0.0000 0.0000 0.0000
Ti 0.5000 0.5000 0.5000
V 0.0000 0.5000 0.6234
Cr 0.0000 0.0000 0.5000
O 0.0000 0.2042 0.7215
O 0.0000 0.5000 0.3265
O 0.2740 0.5000 0.7005

Most stable: 2